Density functional theory data (PBE with a Hubbard U) for a relaxed structure of ZnNi2O4. Values from VASP.

The structure in Quantum ESPRESSO input format:
```
&SYSTEM
  ibrav = 0, nat = 14, ntyp = 3
/
ATOMIC_SPECIES
Ni 58.69 Ni.upf
O 16.00 O.upf
Zn 65.41 Zn.upf
CELL_PARAMETERS angstrom
-0.745 0.126 5.795
0.564 5.811 -0.239
-4.054 -2.589 -3.319
ATOMIC_POSITIONS crystal
Ni 0.375 0.625 0.750
Ni 0.875 0.625 0.250
Ni 0.375 0.625 0.250
Ni 0.375 0.125 0.750
O 0.588 0.840 0.707
O 0.590 0.384 0.752
O 0.160 0.866 0.748
O 0.162 0.410 0.793
O 0.616 0.368 0.207
O 0.134 0.882 0.293
O 0.118 0.412 0.252
O 0.632 0.838 0.248
Zn 0.750 0.250 0.500
Zn 0.000 0.000 0.000
```

Values from the calculation:
VASP energy: -4.771 eV/atom
SG: I4_1/a
relative energy among the computed polymorphs: 0 meV/atom
energy of formation: -1.23 eV per atom